Below is a relaxed Gd2NCl3 crystal, with properties calculated at the meta-GGA r2SCAN level.

abc: 13.0695 6.7357 6.1504
angles: 90.00 90.00 90.00
Space group Pbcn (No. 60)
Unique sites:
Gd 0.0916 0.1734 0.0069 (multiplicity 8)
N 0.0000 0.0099 0.7500 (multiplicity 4)
Cl 0.0000 0.4983 0.2500 (multiplicity 4)
Cl 0.2208 0.1355 0.3893 (multiplicity 8)

Output
The value obtained for the electronic total energy is -21.432 eV/atom. The calculation puts the total magnetization at 14.00 μB per formula unit.

***

Below is a relaxed CeAl2 crystal, with properties calculated at the meta-GGA r2SCAN level.

abc: 7.9475 7.9475 7.9475
angles: 90.00 90.00 90.00
Space group Fd-3m (No. 227, origin choice 2)
Unique sites:
Ce 0.1250 0.1250 0.1250 (multiplicity 8)
Al 0.0000 0.0000 0.5000 (multiplicity 16)

Output
The value obtained for the electronic total energy is -15.271 eV/atom. The calculation puts the total magnetization at 1.29 μB per formula unit.

***

Below is a relaxed Gd crystal, with properties calculated at the meta-GGA r2SCAN level.

abc: 3.6555 3.6555 11.7796
angles: 90.00 90.00 120.00
Space group P-3m1 (No. 164)
Unique sites:
Gd 0.0000 0.0000 0.0000 (multiplicity 1)
Gd 0.0000 0.0000 0.5000 (multiplicity 1)
Gd 0.3333 0.6667 0.2481 (multiplicity 2)

Output
The energy above the most stable polymorph in this dataset comes out at 41 meV/atom. The value obtained for the electronic total energy is -43.356 eV/atom. The calculation puts the total magnetization at 3.95 μB per formula unit.

***

Which of these has the highest electronic total energy?
CeAl2

***

Number 3 is which compound?
Gd

***

What is the formula in the first record?
Gd2NCl3

***

Which of these has the highest electronic total energy?
CeAl2